Record 1
10
Lattice="0.0000 4.7444 4.7444 4.7444 0.0000 4.7444 4.7444 4.7444 0.0000" Properties=species:S:1:pos:R:3 comment="Cs2RbPdF6, optimized geometry, DFT PBE" magnetic_moment_mub_per_cell=1.0 space_group=Fm-3m ef_ev_per_atom=-2.48 pbc="T T T"
Cs 2.3722 2.3722 2.3722
Cs 7.1166 7.1166 7.1166
Rb 0.0000 0.0000 0.0000
Pd 4.7444 4.7444 4.7444
F 4.7444 4.7444 2.6755
F 4.7444 2.6755 4.7444
F 6.8132 4.7444 4.7444
F 2.6755 4.7444 4.7444
F 4.7444 6.8132 4.7444
F 4.7444 4.7444 6.8132

Record 2
10
Lattice="-3.3064 3.3064 4.9178 3.3064 -3.3064 4.9178 3.3064 3.3064 -4.9178" Properties=species:S:1:pos:R:3 comment="Cs2RbPdF6, optimized geometry, DFT PBE" magnetic_moment_mub_per_cell=1.0 space_group=I4/mmm ef_ev_per_atom=-2.49 pbc="T T T"
Cs 3.3064 0.0000 2.4589
Cs 0.0000 3.3064 2.4589
Rb 0.0000 0.0000 0.0000
Pd 0.0000 0.0000 4.9178
F 0.0000 0.0000 2.6876
F 1.8903 1.8903 0.0000
F 1.4161 -1.4161 4.9178
F -1.4161 1.4161 4.9178
F 1.4161 1.4161 4.9178
F 0.0000 0.0000 7.1480

Record 3
10
Lattice="0.0000 4.8122 4.8122 4.8122 0.0000 4.8122 4.8122 4.8122 0.0000" Properties=species:S:1:pos:R:3 comment="CsRb2PdF6, optimized geometry, DFT PBE" magnetic_moment_mub_per_cell=1.0 space_group=Fm-3m ef_ev_per_atom=-2.41 pbc="T T T"
Cs 0.0000 0.0000 0.0000
Rb 2.4061 2.4061 2.4061
Rb 7.2182 7.2182 7.2182
Pd 4.8122 4.8122 4.8122
F 4.8122 4.8122 2.7503
F 4.8122 2.7503 4.8122
F 6.8740 4.8122 4.8122
F 2.7503 4.8122 4.8122
F 4.8122 6.8740 4.8122
F 4.8122 4.8122 6.8740

Record 4
18
Lattice="7.7409 0.0000 0.0000 0.0000 7.7409 0.0000 0.0000 0.0000 6.5418" Properties=species:S:1:pos:R:3 comment="CsRb2PdF5, optimized geometry, DFT PBE" magnetic_moment_mub_per_cell=0.0 space_group=P4/mbm ef_ev_per_atom=-2.52 pbc="T T T"
Cs 0.0000 0.0000 0.0000
Cs 3.8704 3.8704 0.0000
Rb 1.3789 2.4916 3.2709
Rb 2.4916 6.3620 3.2709
Rb 5.2493 1.3789 3.2709
Rb 6.3620 5.2493 3.2709
Pd 0.0000 3.8704 0.0000
Pd 3.8704 0.0000 0.0000
F 0.0000 0.0000 3.2709
F 0.9958 4.8662 1.4124
F 0.9958 4.8662 5.1294
F 2.8746 0.9958 1.4124
F 2.8746 0.9958 5.1294
F 3.8704 3.8704 3.2709
F 4.8662 6.7451 1.4124
F 4.8662 6.7451 5.1294
F 6.7451 2.8746 1.4124
F 6.7451 2.8746 5.1294

Record 5
9
Lattice="6.3466 0.0000 0.0000 -3.1733 5.4963 0.0000 0.0000 0.0000 5.1969" Properties=species:S:1:pos:R:3 comment="Cs2PtF6, optimized geometry, DFT PBE" de_polymorph_mev_per_atom=12 space_group=P-3m1 ef_ev_per_atom=-2.45 pbc="T T T"
Cs 0.0000 3.6642 1.0858
Cs 3.1733 1.8321 4.1111
Pt 0.0000 0.0000 2.5984
F 0.0000 1.6572 3.6862
F -1.7381 4.6677 3.6862
F 1.4352 0.8286 1.5106
F 1.7381 4.6677 3.6862
F 4.9114 0.8286 1.5106
F 3.1733 3.8391 1.5106

Record 6
9
Lattice="0.0000 4.6248 4.6248 4.6248 0.0000 4.6248 4.6248 4.6248 0.0000" Properties=species:S:1:pos:R:3 comment="Cs2PtF6, optimized geometry, DFT PBE" de_polymorph_mev_per_atom=0 space_group=Fm-3m ef_ev_per_atom=-2.46 pbc="T T T"
Cs 2.3124 2.3124 2.3124
Cs 6.9372 6.9372 6.9372
Pt 0.0000 0.0000 0.0000
F 4.6248 4.6248 1.9792
F 4.6248 1.9792 4.6248
F 7.2704 4.6248 4.6248
F 1.9792 4.6248 4.6248
F 4.6248 7.2704 4.6248
F 4.6248 4.6248 7.2704

Record 7
10
Lattice="0.0000 4.7787 4.7787 4.7787 0.0000 4.7787 4.7787 4.7787 0.0000" Properties=species:S:1:pos:R:3 comment="CsRb2RhF6, optimized geometry, DFT PBE" magnetic_moment_mub_per_cell=0.0 space_group=Fm-3m ef_ev_per_atom=-2.56 pbc="T T T"
Cs 0.0000 0.0000 0.0000
Rb 2.3893 2.3893 2.3893
Rb 7.1680 7.1680 7.1680
Rh 4.7787 4.7787 4.7787
F 4.7787 4.7787 2.7633
F 4.7787 2.7633 4.7787
F 6.7940 4.7787 4.7787
F 2.7633 4.7787 4.7787
F 4.7787 6.7940 4.7787
F 4.7787 4.7787 6.7940

Record 8
10
Lattice="0.0000 4.7238 4.7238 4.7238 0.0000 4.7238 4.7238 4.7238 0.0000" Properties=species:S:1:pos:R:3 comment="Cs2RbRuF6, optimized geometry, DFT PBE" magnetic_moment_mub_per_cell=1.0 space_group=Fm-3m ef_ev_per_atom=-2.61 pbc="T T T"
Cs 2.3619 2.3619 2.3619
Cs 7.0857 7.0857 7.0857
Rb 0.0000 0.0000 0.0000
Ru 4.7238 4.7238 4.7238
F 4.7238 4.7238 2.6905
F 4.7238 2.6905 4.7238
F 6.7570 4.7238 4.7238
F 2.6905 4.7238 4.7238
F 4.7238 6.7570 4.7238
F 4.7238 4.7238 6.7570